(1)
Here is a geometry-optimized K2Na2H16XeO14 structure from the Materials Project database. Energies are from PBE.

Unit cell a=8.329 b=8.329 c=10.950 alpha=102.14 beta=102.14 gamma=97.77
Fractional coordinates of all 70 atoms:
1 K 0.034 0.231 0.478
2 K 0.231 0.034 0.978
3 K 0.769 0.966 0.022
4 K 0.966 0.769 0.522
5 Na 0.150 0.850 0.250
6 Na 0.409 0.591 0.250
7 Na 0.591 0.409 0.750
8 Na 0.850 0.150 0.750
9 H 0.059 0.501 0.282
10 H 0.067 0.693 0.947
11 H 0.068 0.199 0.218
12 H 0.090 0.332 0.996
13 H 0.195 0.595 0.412
14 H 0.199 0.068 0.718
15 H 0.200 0.267 0.746
16 H 0.267 0.200 0.246
17 H 0.307 0.933 0.553
18 H 0.315 0.453 0.943
19 H 0.332 0.090 0.496
20 H 0.361 0.406 0.541
21 H 0.405 0.805 0.088
22 H 0.406 0.361 0.041
23 H 0.453 0.315 0.443
24 H 0.499 0.941 0.218
25 H 0.501 0.059 0.782
26 H 0.547 0.685 0.557
27 H 0.594 0.639 0.959
28 H 0.595 0.195 0.912
29 H 0.639 0.594 0.459
30 H 0.668 0.910 0.504
31 H 0.685 0.547 0.057
32 H 0.693 0.067 0.447
33 H 0.733 0.800 0.754
34 H 0.800 0.733 0.254
35 H 0.801 0.932 0.282
36 H 0.805 0.405 0.588
37 H 0.910 0.668 0.004
38 H 0.932 0.801 0.782
39 H 0.933 0.307 0.053
40 H 0.941 0.499 0.718
41 Xe 0.321 0.679 0.750
42 Xe 0.679 0.321 0.250
43 O 0.025 0.731 0.025
44 O 0.096 0.684 0.788
45 O 0.127 0.154 0.724
46 O 0.154 0.127 0.224
47 O 0.157 0.594 0.319
48 O 0.211 0.565 0.568
49 O 0.269 0.975 0.475
50 O 0.310 0.418 0.024
51 O 0.316 0.904 0.712
52 O 0.324 0.460 0.791
53 O 0.406 0.843 0.181
54 O 0.418 0.310 0.524
55 O 0.435 0.789 0.932
56 O 0.460 0.324 0.291
57 O 0.540 0.676 0.709
58 O 0.565 0.211 0.068
59 O 0.582 0.690 0.476
60 O 0.594 0.157 0.819
61 O 0.676 0.540 0.209
62 O 0.684 0.096 0.288
63 O 0.690 0.582 0.976
64 O 0.731 0.025 0.525
65 O 0.789 0.435 0.432
66 O 0.843 0.406 0.681
67 O 0.846 0.873 0.776
68 O 0.873 0.846 0.276
69 O 0.904 0.316 0.212
70 O 0.975 0.269 0.975

## Properties
Uncorrected energy ... -4.52 eV/atom
M_tot ... 0.00 μB per formula unit

(2)
Here is a geometry-optimized SrCa3Al6Si6H2O26 structure from the Materials Project database. Energies are from PBE.

Unit cell a=8.951 b=5.641 c=10.350 alpha=90.00 beta=115.04 gamma=90.00
Fractional coordinates of all 44 atoms:
1 Sr 0.000 0.000 0.000
2 Ca 0.199 0.500 0.834
3 Ca 0.360 0.500 0.580
4 Ca 0.825 0.000 0.260
5 Al 0.309 0.500 0.199
6 Al 0.592 0.250 0.420
7 Al 0.592 0.750 0.420
8 Al 0.593 0.250 0.921
9 Al 0.593 0.750 0.921
10 Al 0.876 0.000 0.639
11 Si 0.257 0.000 0.377
12 Si 0.271 0.000 0.698
13 Si 0.416 0.000 0.109
14 Si 0.771 0.500 0.731
15 Si 0.913 0.500 0.145
16 Si 0.929 0.500 0.466
17 H 0.545 0.500 0.098
18 H 0.639 0.000 0.741
19 O 0.074 0.000 0.257
20 O 0.086 0.500 0.131
21 O 0.098 0.000 0.710
22 O 0.111 0.500 0.590
23 O 0.253 0.000 0.534
24 O 0.298 0.237 0.074
25 O 0.298 0.763 0.074
26 O 0.358 0.248 0.373
27 O 0.358 0.752 0.373
28 O 0.378 0.239 0.772
29 O 0.378 0.761 0.772
30 O 0.516 0.500 0.995
31 O 0.536 0.000 0.022
32 O 0.539 0.500 0.290
33 O 0.557 0.000 0.279
34 O 0.627 0.500 0.561
35 O 0.646 0.000 0.550
36 O 0.650 0.500 0.817
37 O 0.665 0.000 0.843
38 O 0.804 0.264 0.071
39 O 0.804 0.736 0.071
40 O 0.828 0.252 0.467
41 O 0.828 0.748 0.467
42 O 0.888 0.264 0.763
43 O 0.888 0.736 0.763
44 O 0.938 0.500 0.311

## Properties
Uncorrected energy ... -7.37 eV/atom
M_tot ... 0.00 μB per formula unit

(3)
Here is a geometry-optimized KFe5N4 structure from the Materials Project database. Energies are from PBE.

Unit cell a=5.062 b=16.754 c=10.398 alpha=90.00 beta=90.00 gamma=90.00
Fractional coordinates of all 80 atoms:
1 K 0.111 0.000 0.175
2 K 0.111 0.500 0.675
3 K 0.389 0.000 0.675
4 K 0.389 0.500 0.175
5 K 0.611 0.000 0.325
6 K 0.611 0.500 0.825
7 K 0.889 0.000 0.825
8 K 0.889 0.500 0.325
9 Fe 0.085 0.068 0.460
10 Fe 0.085 0.432 0.960
11 Fe 0.127 0.178 0.161
12 Fe 0.127 0.322 0.661
13 Fe 0.158 0.207 0.405
14 Fe 0.158 0.293 0.905
15 Fe 0.210 0.140 0.927
16 Fe 0.210 0.360 0.427
17 Fe 0.222 0.184 0.652
18 Fe 0.222 0.316 0.152
19 Fe 0.278 0.684 0.652
20 Fe 0.278 0.816 0.152
21 Fe 0.290 0.640 0.927
22 Fe 0.290 0.860 0.427
23 Fe 0.342 0.707 0.405
24 Fe 0.342 0.793 0.905
25 Fe 0.373 0.678 0.161
26 Fe 0.373 0.822 0.661
27 Fe 0.415 0.568 0.460
28 Fe 0.415 0.932 0.960
29 Fe 0.585 0.068 0.040
30 Fe 0.585 0.432 0.540
31 Fe 0.627 0.178 0.339
32 Fe 0.627 0.322 0.839
33 Fe 0.658 0.207 0.095
34 Fe 0.658 0.293 0.595
35 Fe 0.710 0.140 0.573
36 Fe 0.710 0.360 0.073
37 Fe 0.722 0.184 0.848
38 Fe 0.722 0.316 0.348
39 Fe 0.778 0.684 0.848
40 Fe 0.778 0.816 0.348
41 Fe 0.790 0.640 0.573
42 Fe 0.790 0.860 0.073
43 Fe 0.842 0.707 0.095
44 Fe 0.842 0.793 0.595
45 Fe 0.873 0.678 0.339
46 Fe 0.873 0.822 0.839
47 Fe 0.915 0.568 0.040
48 Fe 0.915 0.932 0.540
49 N 0.036 0.632 0.180
50 N 0.036 0.868 0.680
51 N 0.125 0.638 0.499
52 N 0.125 0.862 0.999
53 N 0.147 0.714 0.819
54 N 0.147 0.786 0.319
55 N 0.170 0.539 0.926
56 N 0.170 0.961 0.426
57 N 0.330 0.039 0.926
58 N 0.330 0.461 0.426
59 N 0.353 0.214 0.819
60 N 0.353 0.286 0.319
61 N 0.375 0.138 0.499
62 N 0.375 0.362 0.999
63 N 0.464 0.132 0.180
64 N 0.464 0.368 0.680
65 N 0.536 0.632 0.320
66 N 0.536 0.868 0.820
67 N 0.625 0.638 0.001
68 N 0.625 0.862 0.501
69 N 0.647 0.714 0.681
70 N 0.647 0.786 0.181
71 N 0.670 0.539 0.574
72 N 0.670 0.961 0.074
73 N 0.830 0.039 0.574
74 N 0.830 0.461 0.074
75 N 0.853 0.214 0.681
76 N 0.853 0.286 0.181
77 N 0.875 0.138 0.001
78 N 0.875 0.362 0.501
79 N 0.964 0.132 0.320
80 N 0.964 0.368 0.820

## Properties
Uncorrected energy ... -7.59 eV/atom
M_tot ... 3.09 μB per formula unit

(4)
Here is a geometry-optimized TbInPd2 structure from the Materials Project database. Energies are from PBE.

Unit cell a=4.827 b=4.827 c=4.827 alpha=60.00 beta=60.00 gamma=60.00
Fractional coordinates of all 4 atoms:
1 Tb 0.000 0.000 0.000
2 In 0.500 0.500 0.500
3 Pd 0.250 0.250 0.250
4 Pd 0.750 0.750 0.750

## Properties
Uncorrected energy ... -5.25 eV/atom